This record from the Materials Project database describes a geometry-optimized Al2P2H8C2NO8F structure. The functional is GGA-PBE.

Computed properties:
Total energy in eV/atom: -6.307
Total magnetization in μB per formula unit: 0.00
Space group: P2_1/c (14)
Calculated formation energy in eV/atom: -1.815

abc: 9.5439 12.8909 8.6896
angles: 90.00 112.95 90.00
Sites, in units of the cell vectors:
Al 0.0652 0.0984 0.0905
Al 0.0652 0.4016 0.5905
Al 0.3717 0.1173 0.8193
Al 0.3717 0.3827 0.3193
Al 0.6283 0.6173 0.6807
Al 0.6283 0.8827 0.1807
Al 0.9348 0.5984 0.4095
Al 0.9348 0.9016 0.9095
P 0.2064 0.2126 0.4548
P 0.2064 0.2874 0.9548
P 0.2829 0.5495 0.5189
P 0.2829 0.9505 0.0189
P 0.7171 0.0495 0.9811
P 0.7171 0.4505 0.4811
P 0.7936 0.7126 0.0452
P 0.7936 0.7874 0.5452
H 0.0035 0.5932 0.8919
H 0.0035 0.9068 0.3919
H 0.1273 0.6422 0.0920
H 0.1273 0.8578 0.5920
H 0.1630 0.6431 0.7728
H 0.1630 0.8569 0.2728
H 0.1749 0.5256 0.0105
H 0.1749 0.9744 0.5105
H 0.1906 0.7418 0.9103
H 0.1906 0.7582 0.4103
H 0.3830 0.5557 0.9321
H 0.3830 0.9443 0.4321
H 0.4077 0.6344 0.1108
H 0.4077 0.8656 0.6108
H 0.4403 0.6885 0.9377
H 0.4403 0.8115 0.4377
H 0.5597 0.1885 0.5623
H 0.5597 0.3115 0.0623
H 0.5923 0.1344 0.3892
H 0.5923 0.3656 0.8892
H 0.6170 0.0557 0.5679
H 0.6170 0.4443 0.0679
H 0.8094 0.2418 0.5897
H 0.8094 0.2582 0.0897
H 0.8251 0.0256 0.4895
H 0.8251 0.4744 0.9895
H 0.8370 0.1431 0.7272
H 0.8370 0.3569 0.2272
H 0.8727 0.1422 0.4080
H 0.8727 0.3578 0.9080
H 0.9965 0.0932 0.6081
H 0.9965 0.4068 0.1081
C 0.1213 0.6018 0.9793
C 0.1213 0.8982 0.4793
C 0.3719 0.6340 0.9748
C 0.3719 0.8660 0.4748
C 0.6281 0.1340 0.5252
C 0.6281 0.3660 0.0252
C 0.8787 0.1018 0.5207
C 0.8787 0.3982 0.0207
N 0.2075 0.6620 0.8985
N 0.2075 0.8380 0.3985
N 0.7925 0.1620 0.6015
N 0.7925 0.3380 0.1015
O 0.0943 0.2198 0.9969
O 0.0943 0.2802 0.4969
O 0.1200 0.1442 0.3040
O 0.1200 0.3558 0.8040
O 0.1507 0.6299 0.4612
O 0.1507 0.8701 0.9612
O 0.2575 0.0369 0.1273
O 0.2575 0.4630 0.6273
O 0.2945 0.1389 0.6027
O 0.2945 0.3611 0.1027
O 0.3045 0.5020 0.3641
O 0.3045 0.9980 0.8641
O 0.3280 0.2205 0.9241
O 0.3280 0.2795 0.4241
O 0.4294 0.6120 0.6200
O 0.4294 0.8880 0.1200
O 0.5706 0.1120 0.8800
O 0.5706 0.3880 0.3800
O 0.6720 0.7205 0.5759
O 0.6720 0.7795 0.0759
O 0.6955 0.0020 0.1359
O 0.6955 0.4980 0.6359
O 0.7055 0.6389 0.8973
O 0.7055 0.8611 0.3973
O 0.7425 0.5370 0.3727
O 0.7425 0.9630 0.8727
O 0.8493 0.1299 0.0388
O 0.8493 0.3701 0.5388
O 0.8800 0.6442 0.1960
O 0.8800 0.8558 0.6960
O 0.9057 0.7198 0.5031
O 0.9057 0.7802 0.0031
F 0.0096 0.5377 0.6304
F 0.0096 0.9623 0.1304
F 0.9904 0.0377 0.8696
F 0.9904 0.4623 0.3696

***

This record from the Materials Project database describes a geometry-optimized CaSn5S11 structure. The functional is GGA-PBE.

Computed properties:
Total energy in eV/atom: -4.410
Total magnetization in μB per formula unit: 0.00
Space group: P2_1/c (14)
Calculated formation energy in eV/atom: -0.762

abc: 9.7947 17.3019 12.9770
angles: 90.00 130.79 90.00
Sites, in units of the cell vectors:
Ca 0.1155 0.0730 0.2764
Ca 0.1155 0.4270 0.7764
Ca 0.8845 0.5730 0.2236
Ca 0.8845 0.9270 0.7236
Sn 0.0280 0.6677 0.6718
Sn 0.0280 0.8323 0.1718
Sn 0.2319 0.1694 0.6972
Sn 0.2319 0.3306 0.1972
Sn 0.2844 0.6724 0.0561
Sn 0.2844 0.8276 0.5561
Sn 0.4800 0.1720 0.0783
Sn 0.4800 0.3280 0.5783
Sn 0.4937 0.5103 0.7634
Sn 0.4937 0.9897 0.2634
Sn 0.5063 0.0103 0.7366
Sn 0.5063 0.4897 0.2366
Sn 0.5200 0.6720 0.4217
Sn 0.5200 0.8280 0.9217
Sn 0.7156 0.1724 0.4439
Sn 0.7156 0.3276 0.9439
Sn 0.7681 0.6694 0.8028
Sn 0.7681 0.8306 0.3028
Sn 0.9720 0.1677 0.8282
Sn 0.9720 0.3323 0.3282
S 0.0149 0.7361 0.4859
S 0.0149 0.7639 0.9859
S 0.0296 0.5899 0.8469
S 0.0296 0.9101 0.3469
S 0.1780 0.5511 0.6605
S 0.1780 0.9489 0.1605
S 0.2268 0.2456 0.3633
S 0.2268 0.2544 0.8633
S 0.2430 0.0794 0.0138
S 0.2430 0.4206 0.5138
S 0.2443 0.7379 0.3730
S 0.2443 0.7621 0.8730
S 0.2479 0.0876 0.5440
S 0.2479 0.4124 0.0440
S 0.2789 0.5849 0.2182
S 0.2789 0.9151 0.7182
S 0.4835 0.0830 0.4063
S 0.4841 0.0909 0.8959
S 0.4841 0.4091 0.3959
S 0.4835 0.4170 0.9063
S 0.4888 0.7363 0.7556
S 0.4888 0.7637 0.2556
S 0.5112 0.2363 0.7444
S 0.5112 0.2637 0.2444
S 0.5165 0.5830 0.0937
S 0.5159 0.5909 0.6041
S 0.5159 0.9091 0.1041
S 0.5165 0.9170 0.5937
S 0.7211 0.0849 0.2818
S 0.7211 0.4151 0.7818
S 0.7521 0.5876 0.9560
S 0.7521 0.9124 0.4560
S 0.7557 0.2379 0.1270
S 0.7557 0.2621 0.6270
S 0.7570 0.5794 0.4862
S 0.7570 0.9206 0.9862
S 0.7732 0.7456 0.1367
S 0.7732 0.7544 0.6367
S 0.8220 0.0511 0.8395
S 0.8220 0.4489 0.3395
S 0.9704 0.0899 0.6531
S 0.9704 0.4101 0.1531
S 0.9851 0.2361 0.0141
S 0.9851 0.2639 0.5141

***

This record from the Materials Project database describes a geometry-optimized LiF structure. The functional is GGA-PBE.

Computed properties:
Total energy in eV/atom: -4.838
Excess energy over the best structure of this formula in the dataset in eV per atom: 0.007
Space group: P6_3mc (186)
Calculated formation energy in eV/atom: -3.158

abc: 3.1395 3.1395 4.9464
angles: 90.00 90.00 120.00
Sites, in units of the cell vectors:
Li 0.3333 0.6667 0.0000
Li 0.6667 0.3333 0.5000
F 0.3333 0.6667 0.6146
F 0.6667 0.3333 0.1146

***

This record from the Materials Project database describes a geometry-optimized SrCa3Al8Si8O40 structure. The functional is GGA-PBE.

Computed properties:
Total energy in eV/atom: -6.905
Total magnetization in μB per formula unit: 16.00
Space group: Pm (6)
Calculated formation energy in eV/atom: -2.713

abc: 5.9108 13.0862 8.9251
angles: 90.00 90.16 90.00
Sites, in units of the cell vectors:
Sr 0.0000 0.0000 0.0000
Ca 0.0096 0.5000 0.3348
Ca 0.5006 0.0000 0.5089
Ca 0.5095 0.5000 0.8358
Al 0.2558 0.2506 0.4218
Al 0.2558 0.7494 0.4218
Al 0.2565 0.2517 0.9218
Al 0.2565 0.7483 0.9218
Al 0.7555 0.2505 0.4219
Al 0.7545 0.2518 0.9217
Al 0.7545 0.7482 0.9217
Al 0.7555 0.7495 0.4219
Si 0.0044 0.3813 0.6925
Si 0.0044 0.6187 0.6925
Si 0.0069 0.1199 0.6487
Si 0.0069 0.8801 0.6487
Si 0.5044 0.3814 0.1927
Si 0.5044 0.6186 0.1927
Si 0.5065 0.1205 0.1525
Si 0.5065 0.8795 0.1525
O 0.0020 0.5000 0.6249
O 0.0049 0.1834 0.8087
O 0.0053 0.1913 0.3207
O 0.0053 0.8087 0.3207
O 0.0049 0.8166 0.8087
O 0.0060 0.3096 0.0225
O 0.0060 0.3155 0.5348
O 0.0060 0.6845 0.5348
O 0.0060 0.6904 0.0225
O 0.0099 0.0000 0.7097
O 0.0339 0.0000 0.2982
O 0.2326 0.3662 0.7951
O 0.2326 0.6338 0.7951
O 0.2369 0.1367 0.5493
O 0.2369 0.8633 0.5493
O 0.2758 0.3646 0.2938
O 0.2758 0.6354 0.2938
O 0.2807 0.1389 0.0502
O 0.2807 0.8611 0.0502
O 0.4795 0.5000 0.5592
O 0.5019 0.5000 0.1263
O 0.5050 0.1842 0.3117
O 0.5051 0.1915 0.8204
O 0.5051 0.8085 0.8204
O 0.5050 0.8158 0.3117
O 0.5061 0.3096 0.5236
O 0.5060 0.3182 0.0331
O 0.5060 0.6818 0.0331
O 0.5061 0.6904 0.5236
O 0.5095 0.0000 0.2148
O 0.5336 0.0000 0.7845
O 0.7326 0.1407 0.0525
O 0.7328 0.3657 0.2957
O 0.7328 0.6343 0.2957
O 0.7326 0.8593 0.0525
O 0.7759 0.3651 0.7932
O 0.7759 0.6349 0.7932
O 0.7771 0.1351 0.5472
O 0.7771 0.8649 0.5472
O 0.9795 0.5000 0.0593

***

This record from the Materials Project database describes a geometry-optimized Tl3Ag structure. The functional is GGA-PBE.

Computed properties:
Total energy in eV/atom: -2.373
Total magnetization in μB per formula unit: 0.00
Excess energy over the best structure of this formula in the dataset in eV per atom: 0.000
Space group: Pm-3m (221)
Calculated formation energy in eV/atom: 0.107

abc: 4.8101 4.8101 4.8101
angles: 90.00 90.00 90.00
Sites, in units of the cell vectors:
Tl 0.0000 0.0000 0.5000
Tl 0.0000 0.5000 0.0000
Tl 0.5000 0.0000 0.0000
Ag 0.5000 0.5000 0.5000

***

This record from the Materials Project database describes a geometry-optimized Ca2CuCl2O2 structure. The functional is GGA-PBE.

Computed properties:
Total energy in eV/atom: -5.136
Total magnetization in μB per formula unit: 0.01
Space group: I4/mmm (139)
Calculated formation energy in eV/atom: -2.232

abc: 3.8802 3.8802 15.3041
angles: 90.00 90.00 90.00
Sites, in units of the cell vectors:
Ca 0.0000 0.0000 0.1036
Ca 0.0000 0.0000 0.8964
Ca 0.5000 0.5000 0.3964
Ca 0.5000 0.5000 0.6036
Cu 0.0000 0.0000 0.5000
Cu 0.5000 0.5000 0.0000
Cl 0.0000 0.0000 0.3176
Cl 0.0000 0.0000 0.6824
Cl 0.5000 0.5000 0.1824
Cl 0.5000 0.5000 0.8176
O 0.0000 0.5000 0.0000
O 0.0000 0.5000 0.5000
O 0.5000 0.0000 0.0000
O 0.5000 0.0000 0.5000

***

This record from the Materials Project database describes a geometry-optimized Cs2ReCl3O3 structure. The functional is GGA-PBE.

Computed properties:
Total energy in eV/atom: -5.486
Total magnetization in μB per formula unit: 0.00
Space group: Pnma (62)
Calculated formation energy in eV/atom: -1.868

abc: 10.8161 7.1898 12.8676
angles: 90.00 90.00 90.00
Sites, in units of the cell vectors:
Cs 0.0332 0.2500 0.1819
Cs 0.1554 0.7500 0.4109
Cs 0.3446 0.2500 0.9109
Cs 0.4668 0.7500 0.6819
Cs 0.5332 0.2500 0.3181
Cs 0.6554 0.7500 0.0891
Cs 0.8446 0.2500 0.5891
Cs 0.9668 0.7500 0.8181
Re 0.1877 0.7500 0.0668
Re 0.3123 0.2500 0.5668
Re 0.6877 0.7500 0.4332
Re 0.8123 0.2500 0.9332
Cl 0.1232 0.2500 0.4459
Cl 0.1790 0.0204 0.6672
Cl 0.1790 0.4796 0.6672
Cl 0.3210 0.5204 0.1672
Cl 0.3210 0.9796 0.1672
Cl 0.3768 0.7500 0.9459
Cl 0.6232 0.2500 0.0541
Cl 0.6790 0.0204 0.8328
Cl 0.6790 0.4796 0.8328
Cl 0.8210 0.5204 0.3328
Cl 0.8210 0.9796 0.3328
Cl 0.8768 0.7500 0.5541
O 0.0875 0.7500 0.1731
O 0.1353 0.5602 0.9937
O 0.1353 0.9398 0.9937
O 0.3647 0.0602 0.4937
O 0.3647 0.4398 0.4937
O 0.4125 0.2500 0.6731
O 0.5875 0.7500 0.3269
O 0.6353 0.5602 0.5063
O 0.6353 0.9398 0.5063
O 0.8647 0.0602 0.0063
O 0.8647 0.4398 0.0063
O 0.9125 0.2500 0.8269

***

This record from the Materials Project database describes a geometry-optimized Te3Se structure. The functional is GGA-PBE.

Computed properties:
Total energy in eV/atom: -3.030
Total magnetization in μB per formula unit: 0.00
Space group: P6_3/mmc (194)
Calculated formation energy in eV/atom: 0.084

abc: 7.8601 7.8601 4.3022
angles: 90.00 90.00 120.00
Sites, in units of the cell vectors:
Te 0.1713 0.3425 0.2500
Te 0.1713 0.8287 0.2500
Te 0.3425 0.1713 0.7500
Te 0.6575 0.8287 0.2500
Te 0.8287 0.1713 0.7500
Te 0.8287 0.6575 0.7500
Se 0.3333 0.6667 0.7500
Se 0.6667 0.3333 0.2500

***

This record from the Materials Project database describes a geometry-optimized TbAg3 structure. The functional is GGA-PBE.

Computed properties:
Total energy in eV/atom: -3.501
Excess energy over the best structure of this formula in the dataset in eV per atom: 0.009
Space group: P6_3/mmc (194)
Calculated formation energy in eV/atom: -0.218

abc: 6.3266 6.3266 4.8966
angles: 90.00 90.00 120.00
Sites, in units of the cell vectors:
Tb 0.3333 0.6667 0.2500
Tb 0.6667 0.3333 0.7500
Ag 0.1568 0.3135 0.7500
Ag 0.1568 0.8432 0.7500
Ag 0.3135 0.1568 0.2500
Ag 0.6865 0.8432 0.7500
Ag 0.8432 0.1568 0.2500
Ag 0.8432 0.6865 0.2500

***

This record from the Materials Project database describes a geometry-optimized K2Mg5Cu3As6O24 structure. The functional is GGA-PBE.

Computed properties:
Total energy in eV/atom: -5.885
Total magnetization in μB per formula unit: 1.00
Space group: P1 (1)
Calculated formation energy in eV/atom: -2.067

abc: 6.9067 8.9043 8.9367
angles: 92.45 105.86 106.12
Sites, in units of the cell vectors:
K 0.0000 0.0000 0.0000
K 0.4986 0.9682 0.0303
Mg 0.1143 0.6029 0.9540
Mg 0.4979 0.2392 0.7595
Mg 0.6165 0.9217 0.6384
Mg 0.8815 0.0444 0.3932
Mg 0.9982 0.7242 0.2730
Cu 0.3937 0.3665 0.0842
Cu 0.4984 0.4857 0.5137
Cu 0.9978 0.4795 0.5176
As 0.1193 0.8599 0.6634
As 0.3782 0.1064 0.3674
As 0.4977 0.6980 0.2989
As 0.6210 0.6281 0.8940
As 0.8765 0.3344 0.1375
As 0.9992 0.2669 0.7313
O 0.0096 0.4660 0.7396
O 0.0628 0.7067 0.5147
O 0.0650 0.3896 0.0426
O 0.1235 0.7961 0.8397
O 0.1319 0.9740 0.3443
O 0.2246 0.2307 0.8395
O 0.2720 0.7317 0.1882
O 0.3662 0.9909 0.6853
O 0.3743 0.1698 0.1882
O 0.4271 0.5722 0.9891
O 0.4351 0.2594 0.5157
O 0.4848 0.4964 0.2928
O 0.5097 0.7055 0.4977
O 0.5626 0.4812 0.7399
O 0.5679 0.0114 0.4203
O 0.6210 0.8045 0.8304
O 0.6315 0.3098 0.0037
O 0.7252 0.8087 0.2658
O 0.7708 0.1549 0.7638
O 0.8664 0.6532 0.0250
O 0.8732 0.1577 0.2020
O 0.9269 0.9523 0.6087
O 0.9341 0.4828 0.2916
O 0.9873 0.2581 0.5322

***

This record from the Materials Project database describes a geometry-optimized Mg14CdGa structure. The functional is GGA-PBE.

Computed properties:
Total energy in eV/atom: -1.680
Total magnetization in μB per formula unit: 0.00
Excess energy over the best structure of this formula in the dataset in eV per atom: 0.004
Space group: Amm2 (38)
Calculated formation energy in eV/atom: -0.033

abc: 10.3765 6.2940 6.2940
angles: 60.67 90.00 90.00
Sites, in units of the cell vectors:
Mg 0.0000 0.9997 0.9997
Mg 0.0000 0.0002 0.5006
Mg 0.0000 0.5000 0.5000
Mg 0.0000 0.5006 0.0002
Mg 0.2497 0.1663 0.1663
Mg 0.2505 0.6656 0.6656
Mg 0.2517 0.1687 0.6668
Mg 0.2517 0.6668 0.1687
Mg 0.5000 0.9995 0.5003
Mg 0.5000 0.5003 0.9995
Mg 0.7483 0.1687 0.6668
Mg 0.7483 0.6668 0.1687
Mg 0.7503 0.1663 0.1663
Mg 0.7495 0.6656 0.6656
Cd 0.5000 0.0001 0.0001
Ga 0.5000 0.5006 0.5006

***

This record from the Materials Project database describes a geometry-optimized HgS structure. The functional is GGA-PBE.

Computed properties:
Total energy in eV/atom: -2.344
Piezoelectric modulus e_max in C/m2: 0.38
Space group: P3_121 (152)
Calculated formation energy in eV/atom: -0.375

abc: 4.4375 4.4375 9.7577
angles: 90.00 90.00 120.00
Sites, in units of the cell vectors:
Hg 0.0000 0.7607 0.1667
Hg 0.2393 0.2393 0.5000
Hg 0.7607 0.0000 0.8333
S 0.0000 0.4549 0.6667
S 0.4549 0.0000 0.3333
S 0.5451 0.5451 0.0000